Record 1
VASP calculation (PBE) on MnV3 after structural relaxation.

Unit cell a=4.1449 b=4.1449 c=4.1449 alpha=60.00 beta=60.00 gamma=60.00
Element x y z (fractional)
Mn: 0.0000 0.0000 0.0000
V: 0.2500 0.2500 0.2500
V: 0.5000 0.5000 0.5000
V: 0.7500 0.7500 0.7500

Summary:
- formation enthalpy at 0 K (eV/atom) = -0.147

Record 2
VASP calculation (PBE) on YMn12 after structural relaxation.

Unit cell a=6.3096 b=6.3096 c=6.3096 alpha=98.01 beta=98.01 gamma=136.16
Element x y z (fractional)
Y: 0.0000 0.0000 0.0000
Mn: 0.0000 0.0000 0.5000
Mn: 0.0000 0.3654 0.3654
Mn: 0.0000 0.5000 0.0000
Mn: 0.0000 0.6346 0.6346
Mn: 0.2704 0.5000 0.7704
Mn: 0.3654 0.0000 0.3654
Mn: 0.5000 0.0000 0.0000
Mn: 0.5000 0.2704 0.7704
Mn: 0.5000 0.5000 0.5000
Mn: 0.5000 0.7296 0.2296
Mn: 0.6346 0.0000 0.6346
Mn: 0.7296 0.5000 0.2296

Summary:
- formation enthalpy at 0 K (eV/atom) = -0.001

Record 3
VASP calculation (PBE) on MnZn3 after structural relaxation.

Unit cell a=9.0633 b=9.0633 c=9.0633 alpha=17.36 beta=17.36 gamma=17.36
Element x y z (fractional)
Mn: 0.0000 0.0000 0.0000
Zn: 0.2532 0.2532 0.2532
Zn: 0.5000 0.5000 0.5000
Zn: 0.7468 0.7468 0.7468

Summary:
- formation enthalpy at 0 K (eV/atom) = 0.078